DFT (GGA+U) results for a geometry-optimized Li3Mo4P5O24 structure.

## Properties
Magnetic moment (μB/f.u.): 4.00
Volume (Å³/cell): 1951.9
Energy (eV/cell): -1011.7

Cell: 16.7019 8.5948 15.4199 Å, 90.00 118.14 90.00°
Closest atoms and distances in Å follow each position.
Space group Cc (No. 9)
Symmetry-distinct sites (fractional):
Li1 0.0000 0.0145 0.0000 [4 per cell]  3 O 2.02-2.15
Li2 0.1235 0.4763 0.2190 [4 per cell]  3 O 2.00-2.06
Li3 0.3040 0.0154 0.7339 [4 per cell]  3 O 2.02-2.10
Mo1 0.0578 0.3047 0.4482 [4 per cell]  1 O 1.71
Mo2 0.1316 0.1839 0.7914 [4 per cell]  1 O 1.72
Mo3 0.2930 0.3196 0.1513 [4 per cell]  1 O 1.74
Mo4 0.3628 0.1933 0.4923 [4 per cell]  1 O 1.71
P1 0.2024 0.0010 0.5129 [4 per cell]  4 O 1.53-1.56
P2 0.2208 0.4964 0.4313 [4 per cell]  4 O 1.53-1.56
P3 0.4543 0.1771 0.0785 [4 per cell]  4 O 1.50-1.57
P4 0.4621 0.3977 0.7191 [4 per cell]  4 O 1.54-1.55
P5 0.4702 0.1751 0.3658 [4 per cell]  4 O 1.51-1.57
O1 0.0423 0.0064 0.7373 [4 per cell]  1 P 1.55
O2 0.0457 0.3260 0.6778 [4 per cell]  1 P 1.57
O3 0.0505 0.2588 0.8577 [4 per cell]  1 P 1.51
O4 0.1082 0.0727 0.4872 [4 per cell]  1 P 1.56
O5 0.1309 0.3753 0.5621 [4 per cell]  1 Mo 1.71
O6 0.1425 0.3746 0.3905 [4 per cell]  1 P 1.56
O7 0.2003 0.3937 0.8428 [4 per cell]  1 P 1.56
O8 0.2012 0.0848 0.9256 [4 per cell]  1 P 1.53
O9 0.2039 0.1295 0.7460 [4 per cell]  1 Mo 1.72
O10 0.2202 0.4140 0.0165 [4 per cell]  1 P 1.53
O11 0.2209 0.3758 0.1984 [4 per cell]  1 Mo 1.74
O12 0.2267 0.1054 0.1018 [4 per cell]  1 P 1.54
O13 0.2763 0.1312 0.5478 [4 per cell]  1 P 1.56
O14 0.2935 0.1238 0.3764 [4 per cell]  1 Mo 1.71
O15 0.3131 0.4184 0.4613 [4 per cell]  1 P 1.54
O16 0.3762 0.4931 0.6967 [4 per cell]  1 P 1.54
O17 0.3769 0.2445 0.0898 [4 per cell]  1 P 1.50
O18 0.3794 0.1810 0.2674 [4 per cell]  1 P 1.56
O19 0.4401 0.0039 0.0501 [4 per cell]  1 P 1.54
O20 0.4485 0.2935 0.6319 [4 per cell]  1 P 1.54
O21 0.4604 0.2672 0.4484 [4 per cell]  1 P 1.57
O22 0.4682 0.2716 0.0003 [4 per cell]  1 P 1.56
O23 0.4780 0.0016 0.8874 [4 per cell]  1 P 1.55
O24 0.4812 0.2982 0.8099 [4 per cell]  1 P 1.54

DFT (GGA+U) results for a geometry-optimized LiMoP2O7 structure.

## Properties
Excess energy over the best structure of this formula in the dataset (eV/f.u.): 0.39
Magnetic moment (μB/f.u.): 3.00
Volume (Å³/cell): 557.6

Cell: 7.3218 8.2718 9.8556 Å, 90.00 110.91 90.00°
Closest atoms and distances in Å follow each position.
Space group P2_1/c (No. 14)
Symmetry-distinct sites (fractional):
Li1 0.1926 0.0199 0.2250 [4 per cell]  2 O 2.07-2.18
Mo1 0.2438 0.0010 0.7511 [4 per cell]  6 O 2.08-2.21
P1 0.1652 0.7170 0.9507 [4 per cell]  4 O 1.52-1.62
P2 0.4155 0.2410 0.0421 [4 per cell]  4 O 1.50-1.62
O1 0.0485 0.5819 0.8509 [4 per cell]  1 P 1.53
O2 0.1015 0.6122 0.3892 [4 per cell]  1 P 1.54
O3 0.1826 0.7097 0.1093 [4 per cell]  1 P 1.52
O4 0.3085 0.2163 0.8789 [4 per cell]  1 P 1.53
O5 0.3153 0.1282 0.5952 [4 per cell]  1 P 1.50
O6 0.3739 0.6783 0.9354 [4 per cell]  2 P 1.62
O7 0.4543 0.0846 0.1340 [4 per cell]  1 P 1.55

DFT (GGA+U) results for a geometry-optimized Li3Mo2P3O12 structure.

## Properties
Excess energy over the best structure of this formula in the dataset (eV/f.u.): 0.44
Magnetic moment (μB/f.u.): 6.00
Volume (Å³/cell): 994.4

Cell: 15.0299 8.9141 8.7614 Å, 90.00 122.09 90.00°
Closest atoms and distances in Å follow each position.
Space group Cc (No. 9)
Symmetry-distinct sites (fractional):
Li1 0.0000 0.1213 0.0000 [4 per cell]  4 O 1.97-2.12
Li2 0.1337 0.3772 0.4185 [4 per cell]  4 O 1.97-2.13
Li3 0.3210 0.1289 0.4645 [4 per cell]  4 O 2.08-2.32
Mo1 0.2112 0.2456 0.0717 [4 per cell]  6 O 2.07-2.16
Mo2 0.4226 0.2457 0.8488 [4 per cell]  6 O 2.07-2.16
P1 0.1772 0.1153 0.6626 [4 per cell]  4 O 1.53-1.56
P2 0.3169 0.4489 0.4601 [4 per cell]  4 O 1.54-1.58
P3 0.4568 0.1152 0.2574 [4 per cell]  4 O 1.53-1.56
O1 0.0475 0.2867 0.9016 [4 per cell]  1 P 1.55
O2 0.0864 0.2132 0.5178 [4 per cell]  1 P 1.55
O3 0.1465 0.0530 0.1176 [4 per cell]  1 P 1.56
O4 0.2033 0.1389 0.8546 [4 per cell]  1 P 1.53
O5 0.2292 0.3439 0.3122 [4 per cell]  1 P 1.57
O6 0.2560 0.4595 0.0245 [4 per cell]  1 P 1.54
O7 0.2737 0.1565 0.6490 [4 per cell]  1 P 1.56
O8 0.3605 0.1569 0.2716 [4 per cell]  1 P 1.56
O9 0.3783 0.4591 0.8971 [4 per cell]  1 P 1.54
O10 0.4043 0.3427 0.6072 [4 per cell]  1 P 1.58
O11 0.4301 0.1376 0.0647 [4 per cell]  1 P 1.53
O12 0.4871 0.0533 0.8018 [4 per cell]  1 P 1.56